AlBiCl6: relaxed, r2SCAN.

a b c (Å): 11.997 7.805 10.650
angles (deg): 83.51 90.00 90.00
Positions (direct):
Cl1 0.568 0.997 0.697
Cl2 0.658 0.703 0.313
Cl3 0.135 0.012 0.459
Cl4 0.369 0.502 0.950
Cl5 0.932 0.997 0.197
Cl6 0.865 0.988 0.541
Cl7 0.402 0.474 0.321
Cl8 0.158 0.297 0.187
Cl9 0.284 0.748 0.665
Cl10 0.784 0.252 0.835
Cl11 0.342 0.297 0.687
Cl12 0.216 0.748 0.165
Cl13 0.716 0.252 0.335
Cl14 0.098 0.474 0.821
Cl15 0.902 0.526 0.179
Cl16 0.635 0.988 0.041
Cl17 0.598 0.526 0.679
Cl18 0.432 0.003 0.303
Cl19 0.365 0.012 0.959
Cl20 0.869 0.498 0.550
Cl21 0.842 0.703 0.813
Cl22 0.631 0.498 0.050
Cl23 0.068 0.003 0.803
Cl24 0.131 0.502 0.450
Al1 0.273 0.504 0.780
Al2 0.727 0.496 0.220
Al3 0.227 0.504 0.280
Al4 0.773 0.496 0.720
Bi1 0.963 0.195 0.354
Bi2 0.537 0.195 0.854
Bi3 0.463 0.805 0.146
Bi4 0.037 0.805 0.646

Calculated values
**Formation energy**: -1.39 eV/atom
**Space group**: P2_1/c
**Total DFT energy (no corrections)**: -14.16 eV per atom